# 1
# Li4Mn9O18 PBE+U relaxed
# Total magnetic moment ... 62.00 Bohr magnetons per cell
# Calculated total energy ... -6.869 eV per atom
# Energy of formation from the pure elements ... -1.973 eV per atom
data_Li4Mn9O18
_chemical_formula_sum 'Li8 Mn18 O36'
_space_group_name_H-M_alt 'P 1'
_space_group_IT_number 1
_cell_length_a 2.914
_cell_length_b 9.037
_cell_length_c 24.972
_cell_angle_alpha 90.00
_cell_angle_beta 90.00
_cell_angle_gamma 90.00
loop_
_space_group_symop_operation_xyz
'x,y,z'
loop_
_atom_site_label
_atom_site_type_symbol
_atom_site_fract_x
_atom_site_fract_y
_atom_site_fract_z
_atom_site_occupancy
Li1 Li 0.000 0.296 0.705 1
Li2 Li 0.000 0.796 0.795 1
Li3 Li 0.000 0.337 0.501 1
Li4 Li 0.000 0.163 0.001 1
Li5 Li 0.000 0.704 0.295 1
Li6 Li 0.000 0.837 0.999 1
Li7 Li 0.000 0.663 0.499 1
Li8 Li 0.000 0.204 0.205 1
Mn1 Mn 0.000 0.032 0.310 1
Mn2 Mn 0.500 0.136 0.588 1
Mn3 Mn 0.000 0.500 0.000 1
Mn4 Mn 0.000 0.992 0.895 1
Mn5 Mn 0.000 0.008 0.105 1
Mn6 Mn 0.000 0.492 0.605 1
Mn7 Mn 0.000 0.468 0.810 1
Mn8 Mn 0.500 0.636 0.912 1
Mn9 Mn 0.500 0.864 0.412 1
Mn10 Mn 0.500 0.647 0.693 1
Mn11 Mn 0.000 0.968 0.690 1
Mn12 Mn 0.000 0.532 0.190 1
Mn13 Mn 0.000 0.000 0.500 1
Mn14 Mn 0.500 0.353 0.307 1
Mn15 Mn 0.500 0.853 0.193 1
Mn16 Mn 0.500 0.364 0.088 1
Mn17 Mn 0.500 0.147 0.807 1
Mn18 Mn 0.000 0.508 0.395 1
O1 O 0.500 0.028 0.944 1
O2 O 0.500 0.154 0.510 1
O3 O 0.000 0.994 0.577 1
O4 O 0.000 0.775 0.909 1
O5 O 0.500 0.346 0.010 1
O6 O 0.500 0.453 0.660 1
O7 O 0.500 0.406 0.164 1
O8 O 0.500 0.972 0.056 1
O9 O 0.000 0.305 0.354 1
O10 O 0.000 0.805 0.146 1
O11 O 0.500 0.047 0.160 1
O12 O 0.500 0.906 0.336 1
O13 O 0.500 0.472 0.444 1
O14 O 0.000 0.506 0.077 1
O15 O 0.500 0.953 0.840 1
O16 O 0.500 0.349 0.779 1
O17 O 0.000 0.195 0.854 1
O18 O 0.500 0.849 0.721 1
O19 O 0.000 0.103 0.759 1
O20 O 0.000 0.695 0.646 1
O21 O 0.000 0.494 0.923 1
O22 O 0.000 0.725 0.409 1
O23 O 0.500 0.594 0.836 1
O24 O 0.500 0.654 0.990 1
O25 O 0.000 0.397 0.259 1
O26 O 0.000 0.897 0.241 1
O27 O 0.500 0.846 0.490 1
O28 O 0.500 0.094 0.664 1
O29 O 0.000 0.225 0.091 1
O30 O 0.000 0.603 0.741 1
O31 O 0.500 0.151 0.279 1
O32 O 0.500 0.528 0.556 1
O33 O 0.500 0.651 0.221 1
O34 O 0.000 0.275 0.591 1
O35 O 0.000 0.006 0.423 1
O36 O 0.500 0.547 0.340 1

# 2
# Li3VCrP2H2O10 PBE+U relaxed
# Total magnetic moment ... 0.00 Bohr magnetons per cell
# Calculated total energy ... -6.675 eV per atom
# Energy of formation from the pure elements ... -2.413 eV per atom
data_Li3VCrP2H2O10
_chemical_formula_sum 'Li6 V2 Cr2 P4 H4 O20'
_space_group_name_H-M_alt 'P 1'
_space_group_IT_number 1
_cell_length_a 5.176
_cell_length_b 5.585
_cell_length_c 13.286
_cell_angle_alpha 88.97
_cell_angle_beta 91.79
_cell_angle_gamma 95.58
loop_
_space_group_symop_operation_xyz
'x,y,z'
loop_
_atom_site_label
_atom_site_type_symbol
_atom_site_fract_x
_atom_site_fract_y
_atom_site_fract_z
_atom_site_occupancy
P1 P 0.050 0.744 0.608 1
P2 P 0.458 0.758 0.876 1
P3 P 0.550 0.244 0.109 1
P4 P 0.958 0.258 0.376 1
O1 O 0.030 0.525 0.681 1
O2 O 0.985 0.467 0.298 1
O3 O 0.828 0.278 0.063 1
O4 O 0.341 0.200 0.023 1
O5 O 0.193 0.742 0.931 1
O6 O 0.997 0.983 0.660 1
O7 O 0.172 0.299 0.464 1
O8 O 0.841 0.700 0.523 1
O9 O 0.469 0.691 0.366 1
O10 O 0.328 0.779 0.563 1
O11 O 0.043 0.812 0.128 1
O12 O 0.529 0.024 0.181 1
O13 O 0.693 0.242 0.431 1
O14 O 0.969 0.191 0.866 1
O15 O 0.485 0.966 0.798 1
O16 O 0.543 0.312 0.628 1
O17 O 0.506 0.517 0.830 1
O18 O 0.006 0.018 0.330 1
O19 O 0.497 0.483 0.160 1
O20 O 0.672 0.799 0.964 1
Li1 Li 0.864 0.491 0.919 1
Li2 Li 0.422 0.760 0.074 1
Li3 Li 0.591 0.958 0.657 1
Li4 Li 0.091 0.458 0.157 1
Li5 Li 0.922 0.260 0.574 1
Li6 Li 0.364 0.992 0.419 1
H1 H 0.306 0.620 0.334 1
H2 H 0.165 0.914 0.172 1
H3 H 0.806 0.120 0.834 1
H4 H 0.665 0.414 0.672 1
Cr1 Cr 0.005 0.007 0.995 1
Cr2 Cr 0.505 0.507 0.495 1
V1 V 0.251 0.253 0.751 1
V2 V 0.751 0.753 0.251 1

# 3
# CaV2O4 PBE+U relaxed
# Calculated total energy ... -7.632 eV per atom
# Energy of formation from the pure elements ... -2.801 eV per atom
data_CaV2O4
_chemical_formula_sum 'Ca4 V8 O16'
_space_group_name_H-M_alt 'P 1'
_space_group_IT_number 1
_cell_length_a 3.094
_cell_length_b 9.276
_cell_length_c 10.837
_cell_angle_alpha 90.00
_cell_angle_beta 90.00
_cell_angle_gamma 90.00
loop_
_space_group_symop_operation_xyz
'x,y,z'
loop_
_atom_site_label
_atom_site_type_symbol
_atom_site_fract_x
_atom_site_fract_y
_atom_site_fract_z
_atom_site_occupancy
Ca1 Ca 0.750 0.244 0.653 1
Ca2 Ca 0.250 0.756 0.347 1
Ca3 Ca 0.750 0.744 0.847 1
Ca4 Ca 0.250 0.256 0.153 1
O1 O 0.750 0.883 0.475 1
O2 O 0.250 0.707 0.666 1
O3 O 0.750 0.475 0.783 1
O4 O 0.250 0.117 0.525 1
O5 O 0.250 0.525 0.217 1
O6 O 0.750 0.383 0.025 1
O7 O 0.250 0.025 0.283 1
O8 O 0.750 0.293 0.334 1
O9 O 0.250 0.919 0.928 1
O10 O 0.750 0.081 0.072 1
O11 O 0.250 0.419 0.572 1
O12 O 0.250 0.617 0.975 1
O13 O 0.750 0.581 0.428 1
O14 O 0.250 0.207 0.834 1
O15 O 0.750 0.975 0.717 1
O16 O 0.750 0.793 0.166 1
V1 V 0.750 0.082 0.395 1
V2 V 0.250 0.935 0.113 1
V3 V 0.750 0.065 0.887 1
V4 V 0.750 0.582 0.105 1
V5 V 0.250 0.435 0.387 1
V6 V 0.250 0.918 0.605 1
V7 V 0.250 0.418 0.895 1
V8 V 0.750 0.565 0.613 1

# 4
# CaFe2O5 PBE+U relaxed
# Total magnetic moment ... 16.00 Bohr magnetons per cell
# Calculated total energy ... -6.192 eV per atom
# Energy of formation from the pure elements ... -1.725 eV per atom
data_CaFe2O5
_chemical_formula_sum 'Ca2 Fe4 O10'
_space_group_name_H-M_alt 'P 1'
_space_group_IT_number 1
_cell_length_a 6.189
_cell_length_b 6.189
_cell_length_c 11.076
_cell_angle_alpha 90.00
_cell_angle_beta 90.00
_cell_angle_gamma 143.65
loop_
_space_group_symop_operation_xyz
'x,y,z'
loop_
_atom_site_label
_atom_site_type_symbol
_atom_site_fract_x
_atom_site_fract_y
_atom_site_fract_z
_atom_site_occupancy
O1 O 0.061 0.939 0.350 1
O2 O 0.241 0.759 0.925 1
O3 O 0.241 0.759 0.575 1
O4 O 0.706 0.294 0.750 1
O5 O 0.294 0.706 0.250 1
O6 O 0.061 0.939 0.150 1
O7 O 0.939 0.061 0.850 1
O8 O 0.759 0.241 0.075 1
O9 O 0.939 0.061 0.650 1
O10 O 0.759 0.241 0.425 1
Fe1 Fe 0.209 0.791 0.100 1
Fe2 Fe 0.209 0.791 0.400 1
Fe3 Fe 0.791 0.209 0.600 1
Fe4 Fe 0.791 0.209 0.900 1
Ca1 Ca 0.894 0.106 0.250 1
Ca2 Ca 0.106 0.894 0.750 1

# 5
# Mg2Ta2FeO8 PBE+U relaxed
# Total magnetic moment ... 8.00 Bohr magnetons per cell
# Calculated total energy ... -8.183 eV per atom
# Energy of formation from the pure elements ... -3.012 eV per atom
data_Mg2Ta2FeO8
_chemical_formula_sum 'Mg4 Ta4 Fe2 O16'
_space_group_name_H-M_alt 'P 1'
_space_group_IT_number 1
_cell_length_a 5.212
_cell_length_b 6.025
_cell_length_c 10.081
_cell_angle_alpha 107.43
_cell_angle_beta 89.64
_cell_angle_gamma 89.99
loop_
_space_group_symop_operation_xyz
'x,y,z'
loop_
_atom_site_label
_atom_site_type_symbol
_atom_site_fract_x
_atom_site_fract_y
_atom_site_fract_z
_atom_site_occupancy
O1 O 0.954 0.084 0.373 1
O2 O 0.915 0.819 0.856 1
O3 O 0.116 0.455 0.617 1
O4 O 0.594 0.434 0.120 1
O5 O 0.380 0.838 0.383 1
O6 O 0.095 0.687 0.120 1
O7 O 0.902 0.313 0.880 1
O8 O 0.541 0.710 0.626 1
O9 O 0.580 0.963 0.144 1
O10 O 0.616 0.163 0.617 1
O11 O 0.454 0.291 0.373 1
O12 O 0.402 0.567 0.879 1
O13 O 0.415 0.038 0.856 1
O14 O 0.880 0.546 0.383 1
O15 O 0.080 0.181 0.144 1
O16 O 0.041 0.917 0.626 1
Ta1 Ta 0.752 0.048 0.766 1
Ta2 Ta 0.244 0.953 0.234 1
Ta3 Ta 0.744 0.282 0.234 1
Ta4 Ta 0.252 0.719 0.766 1
Mg1 Mg 0.244 0.586 0.455 1
Mg2 Mg 0.252 0.131 0.545 1
Mg3 Mg 0.744 0.870 0.455 1
Mg4 Mg 0.752 0.415 0.545 1
Fe1 Fe 0.248 0.352 0.000 1
Fe2 Fe 0.748 0.648 0.000 1